The following is a DFT calculation (PBE-GGA) of a relaxed LiU4P3O20 crystal.

The value obtained for the calculated formation energy is -90.431 eV per formula unit. As for the total magnetization: 0.00 μB per atom.

Cell: 9.9851 9.9912 17.7482 Å, 90.00 106.11 90.00°
Space group P2_1/c (No. 14)
Inequivalent atoms, fractional coordinates:
1 Li 0.1715 0.1294 0.0837 (multiplicity 4)
2 U 0.0311 0.1254 0.8106 (multiplicity 4)
3 U 0.1058 0.6144 0.9407 (multiplicity 4)
4 U 0.4146 0.6356 0.5579 (multiplicity 4)
5 U 0.4724 0.1233 0.6928 (multiplicity 4)
6 P 0.1924 0.6222 0.1306 (multiplicity 4)
7 P 0.2451 0.1253 0.2424 (multiplicity 4)
8 P 0.3123 0.6277 0.3686 (multiplicity 4)
9 O 0.0167 0.2484 0.5585 (multiplicity 4)
10 O 0.0343 0.6154 0.8008 (multiplicity 4)
11 O 0.0758 0.5393 0.0715 (multiplicity 4)
12 O 0.0893 0.1312 0.9165 (multiplicity 4)
13 O 0.1294 0.0379 0.1861 (multiplicity 4)
14 O 0.1294 0.7188 0.1784 (multiplicity 4)
15 O 0.1802 0.2155 0.2938 (multiplicity 4)
16 O 0.1917 0.5410 0.3213 (multiplicity 4)
17 O 0.2252 0.0179 0.4404 (multiplicity 4)
18 O 0.2569 0.6982 0.0716 (multiplicity 4)
19 O 0.2652 0.7217 0.4274 (multiplicity 4)
20 O 0.2801 0.5129 0.5575 (multiplicity 4)
21 O 0.3006 0.5293 0.1834 (multiplicity 4)
22 O 0.3047 0.2133 0.1861 (multiplicity 4)
23 O 0.3608 0.0350 0.2931 (multiplicity 4)
24 O 0.3782 0.7101 0.3154 (multiplicity 4)
25 O 0.4249 0.5410 0.4278 (multiplicity 4)
26 O 0.4271 0.1173 0.5877 (multiplicity 4)
27 O 0.4525 0.2452 0.4419 (multiplicity 4)
28 O 0.4830 0.6337 0.6956 (multiplicity 4)

=====

The following is a DFT calculation (PBE-GGA) of a relaxed Li2U3P2O15 crystal.

The value obtained for the calculated formation energy is -70.951 eV per formula unit.

Cell: 7.2145 7.2145 25.3809 Å, 90.00 90.00 90.00°
Space group I4_1/amd (No. 141, origin choice 2)
Inequivalent atoms, fractional coordinates:
1 Li 0.0000 0.2500 0.0591 (multiplicity 8)
2 U 0.0000 0.2500 0.2913 (multiplicity 8)
3 U 0.0000 0.2500 0.8750 (multiplicity 4)
4 P 0.0000 0.2500 0.1633 (multiplicity 8)
5 O 0.0000 0.0026 0.7122 (multiplicity 16)
6 O 0.0000 0.0782 0.1265 (multiplicity 16)
7 O 0.0000 0.0821 0.5482 (multiplicity 16)
8 O 0.0000 0.2500 0.3750 (multiplicity 4)
9 O 0.0000 0.2500 0.8041 (multiplicity 8)

=====

The following is a DFT calculation (PBE-GGA) of a relaxed LiY3P3O12 crystal.

The value obtained for the calculated formation energy is -60.202 eV per formula unit. The offset from the most stable computed form comes out at 0.017 eV/atom. As for the total magnetization: 0.05 μB per atom.

Cell: 7.0321 11.8817 6.4781 Å, 90.00 90.27 90.00°
Space group C2 (No. 5)
Inequivalent atoms, fractional coordinates:
1 Li 0.0000 0.0000 0.0000 (multiplicity 2)
2 Y 0.0000 0.1995 0.5000 (multiplicity 2)
3 Y 0.1750 0.4628 0.2371 (multiplicity 4)
4 P 0.0000 0.2060 0.0000 (multiplicity 2)
5 P 0.2087 0.9434 0.3167 (multiplicity 4)
6 O 0.0110 0.9126 0.2350 (multiplicity 4)
7 O 0.1104 0.2757 0.1636 (multiplicity 4)
8 O 0.1309 0.1294 0.8646 (multiplicity 4)
9 O 0.1541 0.4696 0.8666 (multiplicity 4)
10 O 0.2009 0.0503 0.4590 (multiplicity 4)
11 O 0.2072 0.3481 0.5451 (multiplicity 4)

=====

The following is a DFT calculation (PBE-GGA) of a relaxed LiY3P3O12 crystal.

The value obtained for the calculated formation energy is -60.515 eV per formula unit. The offset from the most stable computed form comes out at 0.000 eV/atom. As for the total magnetization: 0.01 μB per atom.

Cell: 7.0125 12.0387 6.3323 Å, 90.00 90.00 90.00°
Space group C222 (No. 21)
Inequivalent atoms, fractional coordinates:
1 Li 0.0000 0.0000 0.0000 (multiplicity 2)
2 Y 0.0000 0.5000 0.5000 (multiplicity 2)
3 Y 0.2500 0.2500 0.8302 (multiplicity 4)
4 P 0.0000 0.5000 0.0000 (multiplicity 2)
5 P 0.2500 0.2500 0.3329 (multiplicity 4)
6 O 0.0826 0.2220 0.1815 (multiplicity 8)
7 O 0.1276 0.4310 0.8491 (multiplicity 8)
8 O 0.2066 0.3481 0.4844 (multiplicity 8)

=====

The following is a DFT calculation (PBE-GGA) of a relaxed LiZr2P3O12 crystal.

The value obtained for the calculated formation energy is -56.519 eV per formula unit. The offset from the most stable computed form comes out at 0.031 eV/atom. As for the total magnetization: 0.00 μB per atom.

Cell: 8.8414 8.9248 9.2002 Å, 61.02 61.39 60.95°
Space group P1 (No. 1)
Inequivalent atoms, fractional coordinates:
1 Li 0.0000 0.0000 0.0000 (multiplicity 1)
2 Li 0.2641 0.8283 0.7743 (multiplicity 1)
3 Zr 0.0404 0.3696 0.8221 (multiplicity 1)
4 Zr 0.2666 0.5608 0.1971 (multiplicity 1)
5 Zr 0.5378 0.8534 0.3273 (multiplicity 1)
6 Zr 0.7575 0.0718 0.6845 (multiplicity 1)
7 P 0.1513 0.1628 0.5271 (multiplicity 1)
8 P 0.3547 0.9647 0.0099 (multiplicity 1)
9 P 0.4481 0.4612 0.4986 (multiplicity 1)
10 P 0.6433 0.2562 0.9976 (multiplicity 1)
11 P 0.8677 0.7395 0.5085 (multiplicity 1)
12 P 0.9379 0.6941 0.0021 (multiplicity 1)
13 O 0.0336 0.7216 0.3408 (multiplicity 1)
14 O 0.1200 0.6329 0.0330 (multiplicity 1)
15 O 0.1215 0.1622 0.7085 (multiplicity 1)
16 O 0.1976 0.1486 0.9799 (multiplicity 1)
17 O 0.2082 0.3255 0.3764 (multiplicity 1)
18 O 0.2640 0.4463 0.6422 (multiplicity 1)
19 O 0.2941 0.8282 0.0042 (multiplicity 1)
20 O 0.3057 0.9784 0.5133 (multiplicity 1)
21 O 0.3726 0.9064 0.1894 (multiplicity 1)
22 O 0.4361 0.5140 0.3171 (multiplicity 1)
23 O 0.4893 0.4329 0.0225 (multiplicity 1)
24 O 0.4892 0.6085 0.5010 (multiplicity 1)
25 O 0.5381 0.9732 0.8645 (multiplicity 1)
26 O 0.5992 0.2757 0.5315 (multiplicity 1)
27 O 0.5995 0.0903 0.1559 (multiplicity 1)
28 O 0.6685 0.2415 0.8274 (multiplicity 1)
29 O 0.6913 0.8031 0.4699 (multiplicity 1)
30 O 0.7736 0.7131 0.1669 (multiplicity 1)
31 O 0.8265 0.2504 0.9905 (multiplicity 1)
32 O 0.8594 0.8794 0.5672 (multiplicity 1)
33 O 0.8881 0.5528 0.6552 (multiplicity 1)
34 O 0.9304 0.8835 0.8568 (multiplicity 1)
35 O 0.9477 0.5554 0.9419 (multiplicity 1)
36 O 0.9790 0.1661 0.5210 (multiplicity 1)

=====

The following is a DFT calculation (PBE-GGA) of a relaxed Li2Zr2P3O12 crystal.

The value obtained for the calculated formation energy is -57.188 eV per formula unit. As for the total magnetization: 0.05 μB per atom.

Cell: 15.2617 9.3074 8.9093 Å, 90.00 124.64 90.00°
Space group C2/c (No. 15)
Inequivalent atoms, fractional coordinates:
1 Li 0.2406 0.0682 0.0420 (multiplicity 8)
2 Zr 0.1089 0.2515 0.1441 (multiplicity 8)
3 P 0.0000 0.0379 0.7500 (multiplicity 4)
4 P 0.1484 0.4048 0.5410 (multiplicity 8)
5 O 0.0384 0.3558 0.4861 (multiplicity 8)
6 O 0.0624 0.0573 0.1996 (multiplicity 8)
7 O 0.0849 0.1336 0.9113 (multiplicity 8)
8 O 0.1627 0.4288 0.0550 (multiplicity 8)
9 O 0.1722 0.3620 0.3987 (multiplicity 8)
10 O 0.2324 0.3397 0.7323 (multiplicity 8)

=====

The following is a DFT calculation (PBE-GGA) of a relaxed LiZr2P3O12 crystal.

The value obtained for the calculated formation energy is -53.828 eV per formula unit. The offset from the most stable computed form comes out at 0.181 eV/atom. As for the total magnetization: 0.00 μB per atom.

Cell: 7.5946 8.0304 9.9553 Å, 67.68 67.71 68.59°
Space group P-1 (No. 2)
Inequivalent atoms, fractional coordinates:
1 Li 0.0707 0.1871 0.3694 (multiplicity 2)
2 Zr 0.1406 0.1402 0.0673 (multiplicity 2)
3 Zr 0.3524 0.3354 0.4444 (multiplicity 2)
4 P 0.0789 0.7009 0.1960 (multiplicity 2)
5 P 0.2108 0.4954 0.7668 (multiplicity 2)
6 P 0.4912 0.9691 0.7553 (multiplicity 2)
7 O 0.0362 0.9018 0.2023 (multiplicity 2)
8 O 0.0526 0.6780 0.7871 (multiplicity 2)
9 O 0.0945 0.7175 0.0327 (multiplicity 2)
10 O 0.1153 0.3878 0.7078 (multiplicity 2)
11 O 0.1361 0.2475 0.4928 (multiplicity 2)
12 O 0.2463 0.5686 0.2605 (multiplicity 2)
13 O 0.2569 0.3670 0.9146 (multiplicity 2)
14 O 0.3020 0.0841 0.2170 (multiplicity 2)
15 O 0.3349 0.0050 0.9045 (multiplicity 2)
16 O 0.3854 0.5303 0.6326 (multiplicity 2)
17 O 0.4704 0.8062 0.7211 (multiplicity 2)
18 O 0.4821 0.1416 0.6188 (multiplicity 2)

=====

The following is a DFT calculation (PBE-GGA) of a relaxed LiZr2P3O12 crystal.

The value obtained for the calculated formation energy is -56.884 eV per formula unit. The offset from the most stable computed form comes out at 0.011 eV/atom. As for the total magnetization: 0.00 μB per atom.

Cell: 15.5439 9.0893 9.0524 Å, 90.00 124.87 90.00°
Space group Cc (No. 9)
Inequivalent atoms, fractional coordinates:
1 Li 0.0000 0.1003 0.0000 (multiplicity 4)
2 Zr 0.1409 0.2558 0.4595 (multiplicity 4)
3 Zr 0.3588 0.2445 0.1157 (multiplicity 4)
4 P 0.1041 0.1030 0.7881 (multiplicity 4)
5 P 0.2546 0.4643 0.2940 (multiplicity 4)
6 P 0.3930 0.1067 0.7880 (multiplicity 4)
7 O 0.0148 0.1672 0.7988 (multiplicity 4)
8 O 0.0913 0.1420 0.6107 (multiplicity 4)
9 O 0.0933 0.0679 0.2829 (multiplicity 4)
10 O 0.1781 0.3601 0.2992 (multiplicity 4)
11 O 0.1907 0.4404 0.6227 (multiplicity 4)
12 O 0.2076 0.1595 0.9544 (multiplicity 4)
13 O 0.2891 0.1638 0.6206 (multiplicity 4)
14 O 0.3148 0.4369 0.9620 (multiplicity 4)
15 O 0.3395 0.3714 0.2958 (multiplicity 4)
16 O 0.3988 0.1465 0.9593 (multiplicity 4)
17 O 0.3999 0.0617 0.2785 (multiplicity 4)
18 O 0.4854 0.1783 0.7956 (multiplicity 4)

=====

What is the calculated formation energy in the sixth record? -57.188 eV per formula unit